[1]
The following is a GGA+U calculation of MgCrO2 after structural relaxation, from the Materials Project database.

Lattice parameters (Å, degrees): 2.9675 7.6093 7.8388 81.19 90.00 90.00
With the nearest neighbours (Å) after each atom.
Positions (direct):
Mg 0.2500 0.4606 0.1686  6 O 2.10-2.20
Mg 0.7500 0.5394 0.8314  6 O 2.10-2.20
Mg 0.7500 0.8147 0.0652  6 O 2.11-2.22
Mg 0.2500 0.1853 0.9348  6 O 2.11-2.22
Cr 0.7500 0.3111 0.5613  4 O 2.06-2.11
Cr 0.7500 0.0991 0.2807  4 O 2.06-2.12
Cr 0.2500 0.9009 0.7193  4 O 2.06-2.12
Cr 0.2500 0.6889 0.4387  4 O 2.06-2.11
O 0.7500 0.7545 0.6097  4 Cr 2.11-2.12, 1 Mg 2.20
O 0.7500 0.0271 0.8368  2 Cr 2.06, 3 Mg 2.13-2.22
O 0.2500 0.9729 0.1632  2 Cr 2.06, 3 Mg 2.13-2.22
O 0.2500 0.2455 0.3903  4 Cr 2.11-2.12, 1 Mg 2.20
O 0.2500 0.3902 0.7160  2 Cr 2.06, 3 Mg 2.13-2.15
O 0.7500 0.3312 0.0437  5 Mg 2.10-2.11
O 0.7500 0.6098 0.2840  2 Cr 2.06, 3 Mg 2.13-2.15
O 0.2500 0.6688 0.9563  5 Mg 2.10-2.11

Total energy = -6.871 eV/atom

=====

[2]
The following is a GGA+U calculation of MgCrP4O12 after structural relaxation, from the Materials Project database.

Lattice parameters (Å, degrees): 7.4504 7.4504 10.1225 66.18 66.18 68.51
With the nearest neighbours (Å) after each atom.
Positions (direct):
Mg 0.9545 0.0455 0.7500  4 O 2.00-2.14
Mg 0.0455 0.9545 0.2500  4 O 2.00-2.14
Cr 0.0000 0.5000 0.5000  4 O 2.06-2.16
Cr 0.5000 0.0000 0.0000  4 O 2.06-2.16
P 0.7011 0.6856 0.8063  4 O 1.49-1.61
P 0.3144 0.2989 0.6937  4 O 1.49-1.61
P 0.2989 0.3144 0.1937  4 O 1.49-1.61
P 0.6856 0.7011 0.3063  4 O 1.49-1.61
P 0.7488 0.2721 0.0207  4 O 1.48-1.63
P 0.7279 0.2512 0.4793  4 O 1.48-1.63
P 0.2512 0.7279 0.9793  4 O 1.48-1.63
P 0.2721 0.7488 0.5207  4 O 1.48-1.63
O 0.4673 0.6904 0.8500  2 P 1.61-1.63
O 0.3096 0.5327 0.6500  2 P 1.61-1.63
O 0.5327 0.3096 0.1500  2 P 1.61-1.63
O 0.6904 0.4673 0.3500  2 P 1.61-1.63
O 0.7796 0.4985 0.9372  2 P 1.61
O 0.5015 0.2204 0.5628  2 P 1.61
O 0.2204 0.5015 0.0628  2 P 1.61
O 0.4985 0.7796 0.4372  2 P 1.61
O 0.8049 0.6505 0.6558  1 P 1.49
O 0.3495 0.1951 0.8442  1 P 1.49
O 0.1951 0.3495 0.3442  1 P 1.49
O 0.6505 0.8049 0.1558  1 P 1.49
O 0.7186 0.8717 0.8234  1 P 1.52
O 0.1283 0.2814 0.6766  1 P 1.52
O 0.2814 0.1283 0.1766  1 P 1.52
O 0.8717 0.7186 0.3234  1 P 1.52
O 0.7305 0.1933 0.9112  1 P 1.52
O 0.8067 0.2695 0.5888  1 P 1.52
O 0.2695 0.8067 0.0888  1 P 1.52
O 0.1933 0.7305 0.4112  1 P 1.52
O 0.9058 0.1576 0.0980  1 P 1.48
O 0.8424 0.0942 0.4020  1 P 1.48
O 0.0942 0.8424 0.9020  1 P 1.48
O 0.1576 0.9058 0.5980  1 P 1.48

Total energy = -7.250 eV/atom

=====

[3]
The following is a GGA+U calculation of MgCr8P4O20 after structural relaxation, from the Materials Project database.

Lattice parameters (Å, degrees): 7.9392 6.6235 7.5925 90.00 90.65 90.00
With the nearest neighbours (Å) after each atom.
Positions (direct):
Mg 0.7594 0.2500 0.0985  4 O 1.84-2.00
Cr 0.0185 0.9864 0.9979  3 O 1.97-2.15
Cr 0.0185 0.5136 0.9979  3 O 1.97-2.15
Cr 0.1680 0.2500 0.7272  5 O 1.95-2.11
Cr 0.3384 0.7500 0.2224  6 O 1.95-2.16
Cr 0.4782 0.9926 0.5122  4 O 2.04-2.19
Cr 0.4782 0.5074 0.5122  4 O 2.04-2.19
Cr 0.6501 0.2500 0.7639  5 O 2.09-2.24
Cr 0.8197 0.7500 0.2938  5 O 2.04-2.22
P 0.1051 0.7500 0.6239  4 O 1.52-1.59
P 0.3641 0.2500 0.1423  4 O 1.53-1.56
P 0.6062 0.7500 0.8821  4 O 1.53-1.57
P 0.9078 0.2500 0.3877  4 O 1.50-1.60
O 0.0711 0.2500 0.4903  1 P 1.50
O 0.1095 0.7500 0.1252  3 Cr 1.95-1.97
O 0.1287 0.9399 0.7490  1 P 1.59
O 0.1287 0.5601 0.7490  1 P 1.59
O 0.2220 0.2500 0.0004  1 P 1.55
O 0.2531 0.7500 0.4919  1 P 1.55
O 0.3513 0.0603 0.2622  1 P 1.56
O 0.3513 0.4397 0.2622  1 P 1.56
O 0.4049 0.2500 0.6410  4 Cr 2.00-2.15
O 0.4418 0.7500 0.9863  1 P 1.53
O 0.5325 0.2500 0.0457  1 P 1.53
O 0.5591 0.7500 0.3710  4 Cr 2.04-2.16
O 0.6143 0.5627 0.7565  1 P 1.57
O 0.6143 0.9373 0.7565  1 P 1.57
O 0.7412 0.2500 0.4864  1 P 1.53
O 0.7617 0.7500 0.0118  1 P 1.57
O 0.8984 0.0672 0.2504  1 P 1.60
O 0.8984 0.4328 0.2504  1 P 1.60
O 0.8988 0.2500 0.8872  1 Mg 1.96, 3 Cr 2.15-2.18
O 0.9319 0.7500 0.5372  1 P 1.52

Total energy = -7.508 eV/atom

=====

[4]
The following is a GGA+U calculation of MgCr3P4O14 after structural relaxation, from the Materials Project database.

Lattice parameters (Å, degrees): 7.9225 7.3273 9.5825 71.63 90.00 90.00
With the nearest neighbours (Å) after each atom.
Positions (direct):
Mg 0.0000 0.5000 0.0000  2 O 2.00
Mg 0.5000 0.5000 0.5000  2 O 2.00
Cr 0.1372 0.8220 0.5041  4 O 2.02-2.09
Cr 0.6372 0.1780 0.9959  4 O 2.02-2.09
Cr 0.8628 0.1780 0.4959  4 O 2.02-2.09
Cr 0.3628 0.8220 0.0041  4 O 2.02-2.09
Cr 0.0000 0.0000 0.0000  4 O 2.10-2.17
Cr 0.5000 0.0000 0.5000  4 O 2.10-2.17
P 0.9469 0.4274 0.7013  4 O 1.50-1.63
P 0.4469 0.5726 0.7987  4 O 1.50-1.63
P 0.0531 0.5726 0.2987  4 O 1.50-1.63
P 0.5531 0.4274 0.2013  4 O 1.50-1.63
P 0.2103 0.1281 0.6915  4 O 1.52-1.60
P 0.7103 0.8719 0.8085  4 O 1.52-1.60
P 0.7897 0.8719 0.3085  4 O 1.52-1.60
P 0.2897 0.1281 0.1915  4 O 1.52-1.60
O 0.3832 0.1791 0.6157  1 P 1.54
O 0.8832 0.8209 0.8843  1 P 1.54
O 0.6168 0.8209 0.3843  1 P 1.54
O 0.1168 0.1791 0.1157  1 P 1.54
O 0.4183 0.6485 0.6297  1 P 1.55
O 0.9183 0.3515 0.8703  1 P 1.55
O 0.5817 0.3515 0.3703  1 P 1.55
O 0.0817 0.6485 0.1297  1 P 1.55
O 0.8069 0.3635 0.6168  1 P 1.53
O 0.3069 0.6365 0.8832  1 P 1.53
O 0.1931 0.6365 0.3832  1 P 1.53
O 0.6931 0.3635 0.1168  1 P 1.53
O 0.1229 0.3315 0.6707  2 P 1.60-1.63
O 0.6229 0.6685 0.8293  2 P 1.60-1.63
O 0.8771 0.6685 0.3293  2 P 1.60-1.63
O 0.3771 0.3315 0.1707  2 P 1.60-1.63
O 0.5154 0.6395 0.1532  1 P 1.50
O 0.0154 0.3605 0.3468  1 P 1.50
O 0.4846 0.3605 0.8468  1 P 1.50
O 0.9846 0.6395 0.6532  1 P 1.50
O 0.7891 0.9699 0.1390  1 P 1.55
O 0.2891 0.0301 0.3610  1 P 1.55
O 0.2109 0.0301 0.8610  1 P 1.55
O 0.7109 0.9699 0.6390  1 P 1.55
O 0.3993 0.0156 0.1179  1 P 1.52
O 0.8993 0.9844 0.3821  1 P 1.52
O 0.6007 0.9844 0.8821  1 P 1.52
O 0.1007 0.0156 0.6179  1 P 1.52

Total energy = -7.383 eV/atom

=====

[5]
The following is a GGA+U calculation of MgCr2P2O10 after structural relaxation, from the Materials Project database.

Lattice parameters (Å, degrees): 6.1002 6.1117 5.5640 91.86 89.32 89.84
With the nearest neighbours (Å) after each atom.
Positions (direct):
Mg 0.8447 0.3514 0.9855  4 O 2.04-2.10
Cr 0.2508 0.2522 0.7270  1 O 1.69
Cr 0.7499 0.7556 0.2685  1 O 1.69
P 0.2489 0.7534 0.4982  4 O 1.54-1.55
P 0.7450 0.2489 0.4971  4 O 1.54-1.56
O 0.0448 0.8207 0.3548  1 P 1.55
O 0.1932 0.5471 0.6392  1 P 1.54
O 0.1785 0.2788 0.0206  1 Cr 1.69
O 0.3133 0.9496 0.6667  1 P 1.55
O 0.4470 0.7007 0.3306  1 P 1.54
O 0.5683 0.3089 0.6923  1 P 1.56
O 0.6872 0.0726 0.3037  1 P 1.54
O 0.7776 0.6825 0.9737  1 Cr 1.69
O 0.8072 0.4433 0.3390  1 P 1.55
O 0.9352 0.1886 0.6656  1 P 1.55

Total energy = -7.052 eV/atom

=====

[6]
The following is a GGA+U calculation of MgCr2P2O9 after structural relaxation, from the Materials Project database.

Lattice parameters (Å, degrees): 6.3115 7.2963 14.1348 90.00 90.00 90.00
With the nearest neighbours (Å) after each atom.
Positions (direct):
Mg 0.7500 0.9178 0.7745  5 O 2.14-2.25
Mg 0.7500 0.5822 0.2745  5 O 2.14-2.25
Mg 0.2500 0.4178 0.7255  5 O 2.14-2.25
Mg 0.2500 0.0822 0.2255  5 O 2.14-2.25
Cr 0.7500 0.3559 0.8772  6 O 1.93-2.09
Cr 0.2500 0.6441 0.1228  6 O 1.93-2.09
Cr 0.2500 0.8559 0.6228  6 O 1.93-2.09
Cr 0.7500 0.1441 0.3772  6 O 1.93-2.09
Cr 0.5000 0.0000 0.0000  6 O 1.99-2.07
Cr 0.5000 0.5000 0.5000  6 O 1.99-2.07
Cr 0.0000 0.5000 0.5000  6 O 1.99-2.07
Cr 0.0000 0.0000 0.0000  6 O 1.99-2.07
P 0.2500 0.3649 0.9281  4 O 1.50-1.57
P 0.7500 0.6351 0.0719  4 O 1.50-1.57
P 0.7500 0.8649 0.5719  4 O 1.50-1.57
P 0.2500 0.1351 0.4281  4 O 1.50-1.57
P 0.7500 0.3883 0.6930  4 O 1.56-1.57
P 0.7500 0.1117 0.1930  4 O 1.56-1.57
P 0.2500 0.8883 0.8070  4 O 1.56-1.57
P 0.2500 0.6117 0.3070  4 O 1.56-1.57
O 0.0401 0.6061 0.3657  1 P 1.56
O 0.5401 0.3939 0.6343  1 P 1.56
O 0.9599 0.1061 0.1343  1 P 1.56
O 0.4599 0.8939 0.8657  1 P 1.56
O 0.9599 0.3939 0.6343  1 P 1.56
O 0.4599 0.6061 0.3657  1 P 1.56
O 0.0401 0.8939 0.8657  1 P 1.56
O 0.5401 0.1061 0.1343  1 P 1.56
O 0.2500 0.3289 0.4766  1 P 1.57
O 0.7500 0.6711 0.5234  1 P 1.57
O 0.7500 0.8289 0.0234  1 P 1.57
O 0.2500 0.1711 0.9766  1 P 1.57
O 0.7500 0.1285 0.9465  3 Cr 1.93-1.99
O 0.2500 0.8715 0.0535  3 Cr 1.93-1.99
O 0.2500 0.6285 0.5535  3 Cr 1.93-1.99
O 0.7500 0.3715 0.4465  3 Cr 1.93-1.99
O 0.7500 0.2083 0.7539  1 P 1.57
O 0.2500 0.7917 0.2461  1 P 1.57
O 0.2500 0.7083 0.7461  1 P 1.57
O 0.7500 0.2917 0.2539  1 P 1.57
O 0.4372 0.1260 0.3575  1 P 1.55
O 0.9372 0.8740 0.6425  1 P 1.55
O 0.5628 0.6260 0.1425  1 P 1.55
O 0.0628 0.3740 0.8575  1 P 1.55
O 0.5628 0.8740 0.6425  1 P 1.55
O 0.0628 0.1260 0.3575  1 P 1.55
O 0.4372 0.3740 0.8575  1 P 1.55
O 0.9372 0.6260 0.1425  1 P 1.55
O 0.7500 0.4897 0.9973  1 P 1.50
O 0.2500 0.0460 0.7330  1 P 1.56
O 0.2500 0.4540 0.2330  1 P 1.56
O 0.7500 0.5460 0.7670  1 P 1.56
O 0.7500 0.0103 0.4973  1 P 1.50
O 0.2500 0.9897 0.5027  1 P 1.50
O 0.2500 0.5103 0.0027  1 P 1.50
O 0.7500 0.9540 0.2670  1 P 1.56

Total energy = -7.399 eV/atom